Entry from Materials Project: crystalline MgTi2 at its relaxed geometry (PBE).

Cell lengths 7.8810, 7.8810, 4.9795 Å; angles 90.00, 90.00, 158.95 degrees
Atoms (fractional coordinates):
1 Mg 0.1091 0.8909 0.5000
2 Mg 0.7775 0.2225 0.5000
3 Ti 0.9973 0.0027 0.0000
4 Ti 0.3374 0.6626 0.0000
5 Ti 0.6651 0.3349 0.0000
6 Ti 0.4469 0.5531 0.5000

Summary:
* uncorrected energy: -5.61 eV/atom
* density: 3.59 g/cm³
* formation energy: 0.1870 eV per atom